[1]
A plane-wave DFT calculation with r2SCAN was carried out for a geometry-optimized Cs3Bi2Br9 structure.

```
14
Lattice="8.014 0.000 0.000 -4.007 6.940 0.000 0.000 0.000 9.945" Properties=species:S:1:pos:R:3 pbc="T T T"
Cs 0.000 0.000 0.000
Cs 0.000 4.627 3.354
Cs 4.007 2.313 6.591
Bi 0.000 4.627 8.060
Bi 4.007 2.313 1.885
Br -2.004 3.470 0.000
Br 0.000 2.317 6.588
Br -2.000 5.782 6.588
Br 2.007 1.159 3.357
Br 4.007 0.000 0.000
Br 2.004 3.470 0.000
Br 2.000 5.782 6.588
Br 6.007 1.159 3.357
Br 4.007 4.623 3.357
```

Summary:
DFT formation energy = -1.428 eV/atom
total DFT energy (no corrections) = -23.69 eV per atom
space-group type = P-3m1

---

[2]
A plane-wave DFT calculation with r2SCAN was carried out for a geometry-optimized LuZn2 structure.

```
6
Lattice="-2.183 3.402 3.736 2.183 -3.402 3.736 2.183 3.402 -3.736" Properties=species:S:1:pos:R:3 pbc="T T T"
Lu 0.000 1.701 0.204
Lu 2.183 1.701 3.532
Zn 2.183 -0.275 1.241
Zn 2.183 3.127 -1.241
Zn 0.000 0.275 4.977
Zn 0.000 3.677 2.496
```

Summary:
DFT formation energy = -0.436 eV/atom
total DFT energy (no corrections) = -19.07 eV per atom
space-group type = Imma

---

[3]
A plane-wave DFT calculation with r2SCAN was carried out for a geometry-optimized TiGaNi structure.

```
9
Lattice="6.761 0.000 0.000 -3.381 5.855 0.000 0.000 0.000 3.095" Properties=species:S:1:pos:R:3 pbc="T T T"
Ti -2.055 3.560 0.000
Ti 1.325 2.296 0.000
Ti 4.110 0.000 0.000
Ga -0.925 1.603 1.548
Ga 1.851 0.000 1.548
Ga 2.455 4.253 1.548
Ni 0.000 0.000 0.000
Ni 0.000 3.904 1.548
Ni 3.381 1.952 1.548
```

Summary:
DFT formation energy = -0.578 eV/atom
total DFT energy (no corrections) = -12.70 eV per atom
space-group type = P-62m

---

[4]
A plane-wave DFT calculation with r2SCAN was carried out for a geometry-optimized Y12InNi6 structure.

```
19
Lattice="-4.866 4.866 4.866 4.866 -4.866 4.866 4.866 4.866 -4.866" Properties=species:S:1:pos:R:3 pbc="T T T"
Y 4.866 -1.912 3.036
Y 2.954 1.830 0.000
Y 6.778 1.830 0.000
Y 3.036 4.866 -1.912
Y 1.830 0.000 2.954
Y 0.000 2.954 1.830
Y 4.866 1.912 3.036
Y 3.036 4.866 1.912
Y 1.830 0.000 6.778
Y -1.912 3.036 4.866
Y 1.912 3.036 4.866
Y 0.000 6.778 1.830
In 0.000 0.000 0.000
Ni 4.866 0.000 1.168
Ni 4.866 3.698 0.000
Ni 1.168 4.866 0.000
Ni 3.698 0.000 4.866
Ni 0.000 1.168 4.866
Ni 0.000 4.866 3.698
```

Summary:
DFT formation energy = -0.346 eV/atom
total DFT energy (no corrections) = -18.15 eV per atom
space-group type = Im-3

---

[5]
A plane-wave DFT calculation with r2SCAN was carried out for a geometry-optimized EuPd3 structure.

```
4
Lattice="4.166 0.000 0.000 0.000 4.166 0.000 0.000 0.000 4.166" Properties=species:S:1:pos:R:3 pbc="T T T"
Eu 0.000 0.000 0.000
Pd 0.000 2.083 2.083
Pd 2.083 0.000 2.083
Pd 2.083 2.083 0.000
```

Summary:
DFT formation energy = -0.545 eV/atom
total DFT energy (no corrections) = -27.40 eV per atom
space-group type = Pm-3m

---

[6]
A plane-wave DFT calculation with r2SCAN was carried out for a geometry-optimized PdPb2Cl6 structure.

```
18
Lattice="9.101 0.000 0.000 0.000 6.356 0.000 -0.125 0.000 8.126" Properties=species:S:1:pos:R:3 pbc="T T T"
Pd 0.000 0.000 0.000
Pd -0.063 3.178 4.063
Pb 2.481 0.299 5.065
Pb 2.544 2.879 1.002
Pb 6.433 3.477 7.124
Pb 6.495 6.057 3.061
Cl 0.454 1.262 2.865
Cl 0.392 1.916 6.928
Cl 2.127 3.922 3.827
Cl 2.064 5.612 7.890
Cl 3.977 0.944 2.701
Cl 3.914 2.234 6.764
Cl 5.062 4.121 1.362
Cl 5.000 5.412 5.425
Cl 6.912 0.744 0.236
Cl 6.850 2.434 4.299
Cl 8.584 4.440 1.198
Cl 8.522 5.093 5.261
```

Summary:
DFT formation energy = -1.068 eV/atom
total DFT energy (no corrections) = -20.23 eV per atom
space-group type = P2_1/c

---

Calculated volume per entry: 553, 56, 41, 461, 72, 235 Å³/f.u.